1.
The following is a DFT calculation (GGA-PBE) of crystalline TaCr3Ag2S8 at its relaxed geometry.

Cell and atoms, written as POSCAR:
```
TaCr3Ag2S8
1.0
12.2160 0.0000 0.0000
0.0000 7.4071 0.0000
-0.0830 0.0000 11.5404
Ta Cr Ag S
4 12 8 32
Direct
0.0000 0.1051 0.0000
0.0000 0.8949 0.5000
0.3685 0.3809 0.4749
0.3685 0.6191 0.9749
0.1908 0.1328 0.2484
0.1908 0.8672 0.7484
0.2547 0.3792 0.7753
0.2547 0.6208 0.2753
0.4984 0.1203 0.7212
0.4984 0.8797 0.2212
0.6833 0.1229 0.4675
0.6833 0.8771 0.9675
0.7474 0.3769 0.9542
0.7474 0.6231 0.4542
0.8661 0.3672 0.2389
0.8661 0.6328 0.7389
0.0116 0.3792 0.5138
0.0116 0.6208 0.0138
0.3632 0.1141 0.9984
0.3632 0.8859 0.4984
0.5273 0.3705 0.2038
0.5273 0.6295 0.7038
0.8515 0.1193 0.7250
0.8515 0.8807 0.2250
0.0462 0.3266 0.1538
0.0462 0.6734 0.6538
0.0657 0.0957 0.6386
0.0657 0.9043 0.1386
0.1631 0.1333 0.8868
0.1631 0.8667 0.3868
0.1851 0.3750 0.3877
0.1851 0.6250 0.8877
0.3061 0.4165 0.1261
0.3061 0.5835 0.6261
0.3174 0.1625 0.6408
0.3174 0.8375 0.1408
0.3847 0.1253 0.3319
0.3847 0.8747 0.8319
0.4328 0.3778 0.8573
0.4328 0.6222 0.3573
0.5499 0.3227 0.5694
0.5499 0.6773 0.0694
0.5605 0.0783 0.0872
0.5605 0.9217 0.5872
0.6623 0.1300 0.8404
0.6623 0.8700 0.3404
0.6940 0.3767 0.3373
0.6940 0.6233 0.8373
0.8108 0.4232 0.5996
0.8108 0.5768 0.0996
0.8125 0.1614 0.0923
0.8125 0.8386 0.5923
0.8841 0.1186 0.4004
0.8841 0.8814 0.9004
0.9189 0.3765 0.8701
0.9189 0.6235 0.3701
```

Calculated values
E above lowest polymorph in meV per atom: 231.5
Energy of formation from the pure elements in eV per atom: -0.687
Total energy after the MP2020 corrections in eV for the cell shown: -356.8
Crystal system: monoclinic

2.
The following is a DFT calculation (GGA-PBE) of crystalline TaCr3Ag2S8 at its relaxed geometry.

Cell and atoms, written as POSCAR:
```
TaCr3Ag2S8
1.0
6.0057 0.0000 0.0000
-0.0239 6.9365 0.0000
-0.1005 -0.1410 13.2801
Ta Cr Ag S
2 6 4 16
Direct
0.0000 0.0000 0.0000
0.4874 0.7462 0.5031
0.0026 0.4849 0.9991
0.0094 0.9878 0.4993
0.0096 0.4888 0.4992
0.5031 0.2384 0.9989
0.5039 0.7409 0.0004
0.5106 0.2369 0.5003
0.1405 0.2543 0.7518
0.4676 0.2474 0.2540
0.5388 0.7283 0.7508
0.8518 0.7221 0.2460
0.1663 0.7378 0.3919
0.1694 0.7352 0.0999
0.1758 0.2448 0.1053
0.1769 0.2369 0.4028
0.3353 0.4832 0.8999
0.3359 0.9980 0.6084
0.3389 0.9904 0.8936
0.3400 0.4808 0.6055
0.6668 0.9901 0.1071
0.6714 0.4944 0.0992
0.6750 0.4863 0.3974
0.6783 0.9857 0.3956
0.8286 0.2405 0.8933
0.8358 0.7320 0.8976
0.8415 0.7396 0.6009
0.8510 0.2392 0.5964
```

Calculated values
E above lowest polymorph in meV per atom: 31.6
Energy of formation from the pure elements in eV per atom: -0.887
Total energy after the MP2020 corrections in eV for the cell shown: -184.0
Crystal system: triclinic

3.
The following is a DFT calculation (GGA-PBE) of crystalline TaCr3Ag2S8 at its relaxed geometry.

Cell and atoms, written as POSCAR:
```
TaCr3Ag2S8
1.0
3.4670 0.0000 0.0000
0.0000 13.0890 0.0000
0.0000 0.0000 11.1668
Ta Cr Ag S
2 6 4 16
Direct
0.0000 0.1536 0.0000
0.0000 0.8464 0.5000
0.0000 0.3659 0.5254
0.0000 0.6341 0.0254
0.5000 0.1445 0.6407
0.5000 0.3505 0.1711
0.5000 0.6495 0.6711
0.5000 0.8555 0.1407
0.0000 0.4274 0.8301
0.0000 0.5726 0.3301
0.5000 0.0906 0.3334
0.5000 0.9094 0.8334
0.0000 0.1002 0.7894
0.0000 0.1836 0.5021
0.0000 0.2245 0.2064
0.0000 0.4634 0.1164
0.0000 0.5366 0.6164
0.0000 0.7755 0.7064
0.0000 0.8164 0.0021
0.0000 0.8998 0.2894
0.5000 0.0325 0.0612
0.5000 0.2857 0.9648
0.5000 0.3227 0.6675
0.5000 0.4069 0.3816
0.5000 0.5931 0.8816
0.5000 0.6773 0.1675
0.5000 0.7143 0.4648
0.5000 0.9675 0.5612
```

Calculated values
E above lowest polymorph in meV per atom: 105.1
Energy of formation from the pure elements in eV per atom: -0.814
Total energy after the MP2020 corrections in eV for the cell shown: -181.9
Crystal system: orthorhombic

4.
The following is a DFT calculation (GGA-PBE) of crystalline TaCr3Ag2S8 at its relaxed geometry.

Cell and atoms, written as POSCAR:
```
TaCr3Ag2S8
1.0
5.9932 0.0000 0.0000
0.0000 7.0112 0.0000
-0.4273 0.0000 6.5045
Ta Cr Ag S
1 3 2 8
Direct
0.0000 0.0000 0.0000
0.0000 0.5000 0.0000
0.5000 0.2519 0.0000
0.5000 0.7481 0.0000
0.0000 0.0000 0.5000
0.0000 0.5000 0.5000
0.1840 0.2545 0.2142
0.1840 0.7455 0.2142
0.3222 0.5000 0.8010
0.3280 0.0000 0.7881
0.6720 0.0000 0.2119
0.6778 0.5000 0.1990
0.8160 0.2545 0.7858
0.8160 0.7455 0.7858
```

Calculated values
E above lowest polymorph in meV per atom: 21.7
Energy of formation from the pure elements in eV per atom: -0.897
Total energy after the MP2020 corrections in eV for the cell shown: -92.1
Crystal system: monoclinic

5.
The following is a DFT calculation (GGA-PBE) of crystalline TaCr3Ag2S8 at its relaxed geometry.

Cell and atoms, written as POSCAR:
```
TaCr3Ag2S8
1.0
6.4577 0.0000 0.0000
-0.0044 7.6348 0.0000
-0.9997 -1.7496 12.5804
Ta Cr Ag S
2 6 4 16
Direct
0.0000 0.0000 0.0000
0.3719 0.5954 0.2979
0.0697 0.1871 0.7075
0.4740 0.7756 0.9966
0.5844 0.4417 0.7153
0.6028 0.9481 0.7100
0.8556 0.8363 0.2914
0.8768 0.3323 0.2946
0.0982 0.6841 0.6956
0.3307 0.0925 0.3017
0.4824 0.2651 0.0005
0.9645 0.5136 0.0008
0.0394 0.6055 0.3607
0.0903 0.2171 0.8831
0.1422 0.7499 0.8986
0.3264 0.0245 0.1008
0.3497 0.5669 0.1153
0.4057 0.1798 0.6572
0.4662 0.6797 0.6472
0.5434 0.8489 0.3732
0.5518 0.3663 0.3612
0.5966 0.5085 0.8913
0.6421 0.9657 0.8920
0.8032 0.8164 0.1069
0.8636 0.2653 0.1167
0.8919 0.4036 0.6442
0.9036 0.9425 0.6316
0.9834 0.1003 0.3691
```

Calculated values
E above lowest polymorph in meV per atom: 197.4
Energy of formation from the pure elements in eV per atom: -0.721
Total energy after the MP2020 corrections in eV for the cell shown: -179.3
Crystal system: triclinic

6.
The following is a DFT calculation (GGA-PBE) of crystalline TaCr3Ag2S8 at its relaxed geometry.

Cell and atoms, written as POSCAR:
```
TaCr3Ag2S8
1.0
6.5291 0.0000 0.0000
-0.0372 7.6423 0.0000
-0.9337 -1.7622 12.1794
Ta Cr Ag S
2 6 4 16
Direct
0.0000 0.0000 0.0000
0.2190 0.8452 0.3933
0.1020 0.1867 0.6963
0.2358 0.3498 0.4014
0.4928 0.2483 0.9896
0.4972 0.7390 0.9902
0.6097 0.4101 0.6955
0.7072 0.5903 0.4012
0.1080 0.6634 0.6960
0.6052 0.9174 0.6960
0.7186 0.0968 0.4000
0.9779 0.4944 0.9928
0.0356 0.5765 0.3353
0.0717 0.0794 0.3223
0.1806 0.2520 0.0710
0.1813 0.7727 0.0659
0.2332 0.9079 0.5800
0.2746 0.3719 0.5871
0.4371 0.2192 0.8033
0.4762 0.6769 0.8082
0.5365 0.3482 0.3274
0.5376 0.8103 0.3234
0.6292 0.5115 0.0629
0.6649 0.0102 0.0595
0.7397 0.6186 0.5802
0.7708 0.1611 0.6028
0.9407 0.4275 0.7893
0.9811 0.9694 0.8139
```

Calculated values
E above lowest polymorph in meV per atom: 200.8
Energy of formation from the pure elements in eV per atom: -0.718
Total energy after the MP2020 corrections in eV for the cell shown: -179.3
Crystal system: triclinic

7.
The following is a DFT calculation (GGA-PBE) of crystalline TaCr3Ag2S8 at its relaxed geometry.

Cell and atoms, written as POSCAR:
```
TaCr3Ag2S8
1.0
11.8644 0.0000 0.0000
0.0000 3.4729 0.0000
-0.0292 0.0000 12.2387
Ta Cr Ag S
2 6 4 16
Direct
0.1479 0.2500 0.2852
0.8521 0.7500 0.7148
0.1131 0.2500 0.9181
0.3479 0.7500 0.7936
0.3983 0.7500 0.4270
0.6017 0.2500 0.5730
0.6521 0.2500 0.2064
0.8869 0.7500 0.0819
0.1458 0.7500 0.5942
0.3768 0.2500 0.0755
0.6232 0.7500 0.9245
0.8542 0.2500 0.4058
0.0331 0.2500 0.1192
0.0449 0.7500 0.3830
0.2123 0.2500 0.7501
0.2378 0.7500 0.9589
0.2657 0.2500 0.4645
0.2904 0.7500 0.2454
0.4543 0.2500 0.8731
0.4681 0.7500 0.6144
0.5319 0.2500 0.3856
0.5457 0.7500 0.1269
0.7096 0.2500 0.7546
0.7343 0.7500 0.5355
0.7622 0.2500 0.0411
0.7877 0.7500 0.2499
0.9551 0.2500 0.6170
0.9669 0.7500 0.8808
```

Calculated values
E above lowest polymorph in meV per atom: 121.2
Energy of formation from the pure elements in eV per atom: -0.798
Total energy after the MP2020 corrections in eV for the cell shown: -181.5
Crystal system: monoclinic

8.
The following is a DFT calculation (GGA-PBE) of crystalline ZrCrAgS4 at its relaxed geometry.

Cell and atoms, written as POSCAR:
```
ZrCrAgS4
1.0
12.0749 0.0000 0.0000
0.0000 3.6136 0.0000
0.0000 0.0000 12.4719
Zr Cr Ag S
4 4 4 16
Direct
0.1513 0.2500 0.2114
0.3487 0.7500 0.7114
0.6513 0.2500 0.2886
0.8487 0.7500 0.7886
0.1083 0.2500 0.5724
0.3917 0.7500 0.0724
0.6083 0.2500 0.9276
0.8917 0.7500 0.4276
0.1380 0.7500 0.9127
0.3620 0.2500 0.4127
0.6380 0.7500 0.5873
0.8620 0.2500 0.0873
0.0272 0.2500 0.3890
0.0441 0.7500 0.1161
0.1987 0.2500 0.7500
0.2306 0.7500 0.5305
0.2694 0.2500 0.0305
0.3013 0.7500 0.2500
0.4559 0.2500 0.6161
0.4728 0.7500 0.8890
0.5272 0.2500 0.1110
0.5441 0.7500 0.3839
0.6987 0.2500 0.7500
0.7306 0.7500 0.9695
0.7694 0.2500 0.4695
0.8013 0.7500 0.2500
0.9559 0.2500 0.8839
0.9728 0.7500 0.6110
```

Calculated values
E above lowest polymorph in meV per atom: 101.2
Energy of formation from the pure elements in eV per atom: -1.101
Total energy after the MP2020 corrections in eV for the cell shown: -181.2
Crystal system: orthorhombic

9.
The following is a DFT calculation (GGA-PBE) of crystalline ZrCrAgS4 at its relaxed geometry.

Cell and atoms, written as POSCAR:
```
ZrCrAgS4
1.0
3.6240 0.0000 0.0000
0.0000 13.2440 0.0000
0.0000 0.0000 11.3832
Zr Cr Ag S
4 4 4 16
Direct
0.0000 0.1328 0.0000
0.0000 0.3456 0.4710
0.0000 0.6544 0.9710
0.0000 0.8672 0.5000
0.5000 0.1552 0.6407
0.5000 0.3604 0.1126
0.5000 0.6396 0.6126
0.5000 0.8448 0.1407
0.0000 0.0799 0.3110
0.0000 0.9201 0.8110
0.5000 0.4152 0.7996
0.5000 0.5848 0.2996
0.0000 0.0416 0.5932
0.0000 0.2706 0.6827
0.0000 0.3272 0.9743
0.0000 0.4006 0.2521
0.0000 0.5994 0.7521
0.0000 0.6728 0.4743
0.0000 0.7294 0.1827
0.0000 0.9584 0.0932
0.5000 0.0895 0.8446
0.5000 0.1828 0.1508
0.5000 0.2090 0.4396
0.5000 0.4667 0.5364
0.5000 0.5333 0.0364
0.5000 0.7910 0.9396
0.5000 0.8172 0.6508
0.5000 0.9105 0.3446
```

Calculated values
E above lowest polymorph in meV per atom: 96.4
Energy of formation from the pure elements in eV per atom: -1.106
Total energy after the MP2020 corrections in eV for the cell shown: -181.3
Crystal system: orthorhombic

10.
The following is a DFT calculation (GGA-PBE) of crystalline ZrCrAgS4 at its relaxed geometry.

Cell and atoms, written as POSCAR:
```
ZrCrAgS4
1.0
6.6572 0.0000 0.0000
0.0256 7.7693 0.0000
0.9966 1.8228 12.7387
Zr Cr Ag S
4 4 4 16
Direct
0.0000 0.0000 0.0000
0.0966 0.1811 0.3068
0.4804 0.7602 0.0002
0.8728 0.3373 0.6966
0.3936 0.5919 0.7030
0.6013 0.4394 0.2962
0.6065 0.9339 0.2965
0.8683 0.8301 0.7014
0.1193 0.6840 0.3082
0.3744 0.0852 0.6959
0.4920 0.2722 0.0002
0.9842 0.5222 0.0000
0.0253 0.0890 0.6254
0.0724 0.6126 0.6415
0.1179 0.2227 0.1181
0.1469 0.7421 0.1081
0.3351 0.0287 0.8963
0.3570 0.5544 0.8766
0.4506 0.1722 0.3597
0.4741 0.6717 0.3585
0.5403 0.3715 0.6275
0.5663 0.8275 0.6371
0.6204 0.4931 0.1219
0.6520 0.9610 0.1164
0.8227 0.8099 0.8821
0.8553 0.2813 0.8867
0.9033 0.4184 0.3704
0.9030 0.9201 0.3746
```

Calculated values
E above lowest polymorph in meV per atom: 206.3
Energy of formation from the pure elements in eV per atom: -0.996
Total energy after the MP2020 corrections in eV for the cell shown: -178.2
Crystal system: triclinic

11.
The following is a DFT calculation (GGA-PBE) of crystalline ZrCrAgS4 at its relaxed geometry.

Cell and atoms, written as POSCAR:
```
ZrCrAgS4
1.0
7.2322 0.0000 0.0000
0.0000 13.2405 0.0000
0.0000 0.0000 6.1323
Zr Cr Ag S
4 4 4 16
Direct
0.0000 0.0000 0.0000
0.0000 0.5000 0.0000
0.5000 0.0000 0.0000
0.5000 0.5000 0.0000
0.2500 0.0030 0.4987
0.2500 0.4970 0.4987
0.7500 0.5030 0.5013
0.7500 0.9970 0.5013
0.2500 0.2500 0.8421
0.2500 0.7500 0.5117
0.7500 0.2500 0.4883
0.7500 0.7500 0.1579
0.0016 0.1059 0.6498
0.0016 0.3941 0.6498
0.2500 0.1103 0.1770
0.2500 0.3897 0.1770
0.2500 0.6074 0.8174
0.2500 0.8926 0.8174
0.4984 0.1059 0.6498
0.4984 0.3941 0.6498
0.5016 0.6059 0.3502
0.5016 0.8941 0.3502
0.7500 0.1074 0.1826
0.7500 0.3926 0.1826
0.7500 0.6103 0.8230
0.7500 0.8897 0.8230
0.9984 0.6059 0.3502
0.9984 0.8941 0.3502
```

Calculated values
E above lowest polymorph in meV per atom: 48.8
Energy of formation from the pure elements in eV per atom: -1.154
Total energy after the MP2020 corrections in eV for the cell shown: -182.6
Crystal system: orthorhombic

12.
The following is a DFT calculation (GGA-PBE) of crystalline ZrCrAgS4 at its relaxed geometry.

Cell and atoms, written as POSCAR:
```
ZrCrAgS4
1.0
3.6235 0.0000 0.0000
0.0000 11.3767 0.0000
0.0000 0.0000 13.1619
Zr Cr Ag S
4 4 4 16
Direct
0.0000 0.1628 0.0000
0.0000 0.6847 0.1873
0.5000 0.3153 0.6873
0.5000 0.8372 0.5000
0.0000 0.1990 0.4677
0.0000 0.6763 0.6858
0.5000 0.3237 0.1858
0.5000 0.8010 0.9677
0.0000 0.0069 0.2706
0.0000 0.5050 0.4145
0.5000 0.4950 0.9145
0.5000 0.9931 0.7706
0.0000 0.1619 0.6488
0.0000 0.2862 0.2988
0.0000 0.3716 0.0662
0.0000 0.4636 0.7448
0.0000 0.6602 0.9990
0.0000 0.7871 0.3698
0.0000 0.8769 0.6329
0.0000 0.9405 0.9349
0.5000 0.0595 0.4349
0.5000 0.1231 0.1329
0.5000 0.2129 0.8698
0.5000 0.3398 0.4990
0.5000 0.5364 0.2448
0.5000 0.6284 0.5662
0.5000 0.7138 0.7988
0.5000 0.8381 0.1488
```

Calculated values
E above lowest polymorph in meV per atom: 101.7
Energy of formation from the pure elements in eV per atom: -1.101
Total energy after the MP2020 corrections in eV for the cell shown: -181.1
Crystal system: orthorhombic

What is the formula in the fifth record? TaCr3Ag2S8